{"formula": "Ce2Mg", "functional": "PBE", "state": "relaxed", "density_g_cm3": 6.341, "e_form_ev_per_atom": 0.06, "final_energy_ha_per_atom": -0.1628, "spacegroup": "No. 38", "lattice": [[5.726, 0.000, 0.000], [0.000, 3.237, 0.000], [0.000, 0.000, 17.213]], "species": ["Ce", "Ce", "Ce", "Ce", "Ce", "Ce", "Ce", "Ce", "Mg", "Mg", "Mg", "Mg"], "fractional_positions": [[0.000, 0.000, 0.000], [0.000, 0.000, 0.321], [0.000, 0.000, 0.658], [0.000, 0.500, 0.158], [0.000, 0.500, 0.500], [0.000, 0.500, 0.821], [0.500, 0.000, 0.871], [0.500, 0.500, 0.371], [0.500, 0.000, 0.204], [0.500, 0.000, 0.550], [0.500, 0.500, 0.050], [0.500, 0.500, 0.704]]}

{"formula": "Ce3Mg", "functional": "PBE", "state": "relaxed", "density_g_cm3": 6.947, "e_form_ev_per_atom": 0.19, "final_energy_ha_per_atom": -0.1714, "spacegroup": "No. 225", "lattice": [[7.519, 0.000, 0.000], [0.000, 7.519, 0.000], [0.000, 0.000, 7.519]], "species": ["Ce", "Ce", "Ce", "Ce", "Ce", "Ce", "Ce", "Ce", "Ce", "Ce", "Ce", "Ce", "Mg", "Mg", "Mg", "Mg"], "fractional_positions": [[0.000, 0.000, 0.000], [0.000, 0.500, 0.500], [0.250, 0.250, 0.250], [0.250, 0.250, 0.750], [0.250, 0.750, 0.250], [0.250, 0.750, 0.750], [0.500, 0.000, 0.500], [0.500, 0.500, 0.000], [0.750, 0.250, 0.250], [0.750, 0.250, 0.750], [0.750, 0.750, 0.250], [0.750, 0.750, 0.750], [0.000, 0.000, 0.500], [0.000, 0.500, 0.000], [0.500, 0.000, 0.000], [0.500, 0.500, 0.500]]}

{"formula": "CeMg", "functional": "PBE", "state": "relaxed", "density_g_cm3": 5.241, "e_form_ev_per_atom": 0.01, "final_energy_ha_per_atom": -0.1381, "spacegroup": "No. 12", "lattice": [[11.178, 0.000, 0.000], [0.000, 3.398, 0.000], [-2.304, 0.000, 5.486]], "species": ["Ce", "Ce", "Ce", "Ce", "Mg", "Mg", "Mg", "Mg"], "fractional_positions": [[0.143, 0.000, 0.446], [0.357, 0.500, 0.554], [0.643, 0.500, 0.446], [0.857, 0.000, 0.554], [0.127, 0.500, 0.940], [0.373, 0.000, 0.060], [0.627, 0.000, 0.940], [0.873, 0.500, 0.060]]}

{"formula": "CeMg6Mn", "functional": "PBE", "state": "relaxed", "density_g_cm3": 3.202, "e_form_ev_per_atom": 0.22, "final_energy_ha_per_atom": -0.1054, "spacegroup": "No. 38", "lattice": [[4.600, 0.000, 0.000], [0.000, 6.319, 0.000], [0.000, 0.000, 12.164]], "species": ["Ce", "Ce", "Mg", "Mg", "Mg", "Mg", "Mg", "Mg", "Mg", "Mg", "Mg", "Mg", "Mg", "Mg", "Mn", "Mn"], "fractional_positions": [[0.000, 0.000, 0.000], [0.000, 0.500, 0.500], [0.000, 0.000, 0.449], [0.000, 0.248, 0.218], [0.000, 0.252, 0.718], [0.000, 0.500, 0.949], [0.000, 0.748, 0.718], [0.000, 0.752, 0.218], [0.500, 0.000, 0.606], [0.500, 0.244, 0.865], [0.500, 0.256, 0.365], [0.500, 0.500, 0.106], [0.500, 0.744, 0.365], [0.500, 0.756, 0.865], [0.500, 0.000, 0.068], [0.500, 0.500, 0.568]]}

{"formula": "CeMg6Mn", "functional": "PBE", "state": "relaxed", "density_g_cm3": 3.261, "e_form_ev_per_atom": 0.26, "final_energy_ha_per_atom": -0.1039, "spacegroup": "No. 38", "lattice": [[5.082, 0.000, 0.000], [0.000, 5.675, 0.000], [0.000, 0.000, 12.038]], "species": ["Ce", "Ce", "Mg", "Mg", "Mg", "Mg", "Mg", "Mg", "Mg", "Mg", "Mg", "Mg", "Mg", "Mg", "Mn", "Mn"], "fractional_positions": [[0.000, 0.000, 0.000], [0.000, 0.500, 0.500], [0.000, 0.250, 0.248], [0.000, 0.250, 0.748], [0.000, 0.750, 0.248], [0.000, 0.750, 0.748], [0.500, 0.000, 0.159], [0.500, 0.000, 0.615], [0.500, 0.243, 0.396], [0.500, 0.257, 0.896], [0.500, 0.500, 0.115], [0.500, 0.500, 0.659], [0.500, 0.743, 0.896], [0.500, 0.757, 0.396], [0.000, 0.000, 0.482], [0.000, 0.500, 0.982]]}

{"formula": "CeMg14Mo", "functional": "PBE", "state": "relaxed", "density_g_cm3": 2.689, "e_form_ev_per_atom": 0.11, "final_energy_ha_per_atom": -0.0861, "spacegroup": "No. 38", "lattice": [[10.440, 0.000, 0.000], [0.000, 2.961, 5.758], [0.000, -2.961, 5.758]], "species": ["Ce", "Mg", "Mg", "Mg", "Mg", "Mg", "Mg", "Mg", "Mg", "Mg", "Mg", "Mg", "Mg", "Mg", "Mg", "Mo"], "fractional_positions": [[0.000, 0.000, 0.000], [0.000, 0.004, 0.495], [0.000, 0.495, 0.004], [0.227, 0.637, 0.637], [0.248, 0.151, 0.642], [0.248, 0.642, 0.151], [0.265, 0.148, 0.148], [0.500, 0.492, 0.492], [0.500, 0.495, 0.988], [0.500, 0.987, 0.987], [0.500, 0.988, 0.495], [0.735, 0.148, 0.148], [0.752, 0.151, 0.642], [0.752, 0.642, 0.151], [0.773, 0.637, 0.637], [0.000, 0.486, 0.486]]}

{"formula": "CeMg14Mo", "functional": "PBE", "state": "relaxed", "density_g_cm3": 2.543, "e_form_ev_per_atom": 0.17, "final_energy_ha_per_atom": -0.0836, "spacegroup": "No. 187", "lattice": [[6.504, 0.000, 0.000], [-3.252, 5.633, 0.000], [0.000, 0.000, 10.274]], "species": ["Ce", "Mg", "Mg", "Mg", "Mg", "Mg", "Mg", "Mg", "Mg", "Mg", "Mg", "Mg", "Mg", "Mg", "Mg", "Mo"], "fractional_positions": [[0.000, 0.000, 0.000], [0.017, 0.508, 0.000], [0.163, 0.326, 0.269], [0.163, 0.326, 0.731], [0.163, 0.837, 0.269], [0.163, 0.837, 0.731], [0.492, 0.508, 0.000], [0.492, 0.983, 0.000], [0.504, 0.007, 0.500], [0.504, 0.496, 0.500], [0.667, 0.333, 0.235], [0.667, 0.333, 0.765], [0.674, 0.837, 0.269], [0.674, 0.837, 0.731], [0.993, 0.496, 0.500], [0.000, 0.000, 0.500]]}

{"formula": "NaCeMg14", "functional": "PBE", "state": "relaxed", "density_g_cm3": 2.140, "e_form_ev_per_atom": 0.08, "final_energy_ha_per_atom": -0.0652, "spacegroup": "No. 38", "lattice": [[10.455, 0.000, 0.000], [0.000, 3.250, 5.750], [0.000, -3.250, 5.750]], "species": ["Na", "Ce", "Mg", "Mg", "Mg", "Mg", "Mg", "Mg", "Mg", "Mg", "Mg", "Mg", "Mg", "Mg", "Mg", "Mg"], "fractional_positions": [[0.000, 0.000, 0.000], [0.000, 0.501, 0.501], [0.000, 0.515, 0.996], [0.000, 0.996, 0.515], [0.247, 0.168, 0.168], [0.256, 0.667, 0.667], [0.261, 0.165, 0.664], [0.261, 0.664, 0.165], [0.500, 0.000, 0.500], [0.500, 0.002, 0.002], [0.500, 0.500, 0.000], [0.500, 0.502, 0.502], [0.739, 0.165, 0.664], [0.739, 0.664, 0.165], [0.744, 0.667, 0.667], [0.753, 0.168, 0.168]]}

{"formula": "NaCeMg6", "functional": "PBE", "state": "relaxed", "density_g_cm3": 2.543, "e_form_ev_per_atom": 0.15, "final_energy_ha_per_atom": -0.0719, "lattice": [[-0.186, -4.289, -2.927], [6.571, -0.778, 0.723], [-1.813, -6.443, 9.555]], "species": ["Na", "Na", "Ce", "Ce", "Mg", "Mg", "Mg", "Mg", "Mg", "Mg", "Mg", "Mg", "Mg", "Mg", "Mg", "Mg"], "fractional_positions": [[0.500, 0.500, 0.165], [0.500, 0.000, 0.665], [0.500, 0.000, 0.170], [0.500, 0.500, 0.670], [0.500, 0.244, 0.422], [0.500, 0.756, 0.422], [0.000, 0.752, 0.074], [0.000, 0.248, 0.074], [0.000, 0.000, 0.339], [0.000, 0.500, 0.331], [0.500, 0.744, 0.922], [0.500, 0.256, 0.922], [0.000, 0.252, 0.574], [0.000, 0.748, 0.574], [0.000, 0.500, 0.839], [0.000, 0.000, 0.831]]}

{"formula": "NaCeMg6", "functional": "PBE", "state": "relaxed", "density_g_cm3": 2.466, "e_form_ev_per_atom": 0.14, "final_energy_ha_per_atom": -0.0724, "spacegroup": "No. 38", "lattice": [[5.280, 0.000, 0.000], [0.000, 6.730, 0.000], [0.000, 0.000, 11.705]], "species": ["Na", "Na", "Ce", "Ce", "Mg", "Mg", "Mg", "Mg", "Mg", "Mg", "Mg", "Mg", "Mg", "Mg", "Mg", "Mg"], "fractional_positions": [[0.000, 0.000, 0.000], [0.000, 0.500, 0.500], [0.500, 0.000, 0.173], [0.500, 0.500, 0.673], [0.000, 0.000, 0.504], [0.000, 0.248, 0.755], [0.000, 0.252, 0.255], [0.000, 0.500, 0.004], [0.000, 0.748, 0.255], [0.000, 0.752, 0.755], [0.500, 0.000, 0.673], [0.500, 0.249, 0.918], [0.500, 0.251, 0.418], [0.500, 0.500, 0.173], [0.500, 0.749, 0.418], [0.500, 0.751, 0.918]]}

{"formula": "NaCeMg14", "functional": "PBE", "state": "relaxed", "density_g_cm3": 2.171, "e_form_ev_per_atom": 0.06, "final_energy_ha_per_atom": -0.0657, "spacegroup": "No. 187", "lattice": [[6.563, 0.000, 0.000], [-3.281, 5.683, 0.000], [0.000, 0.000, 10.321]], "species": ["Na", "Ce", "Mg", "Mg", "Mg", "Mg", "Mg", "Mg", "Mg", "Mg", "Mg", "Mg", "Mg", "Mg", "Mg", "Mg"], "fractional_positions": [[0.000, 0.000, 0.000], [0.000, 0.000, 0.500], [0.003, 0.501, 0.000], [0.012, 0.506, 0.500], [0.170, 0.339, 0.247], [0.170, 0.339, 0.753], [0.170, 0.830, 0.247], [0.170, 0.830, 0.753], [0.494, 0.506, 0.500], [0.494, 0.988, 0.500], [0.499, 0.501, 0.000], [0.499, 0.997, 0.000], [0.661, 0.830, 0.247], [0.661, 0.830, 0.753], [0.667, 0.333, 0.257], [0.667, 0.333, 0.743]]}

{"formula": "CeMg6Ni", "functional": "PBE", "state": "relaxed", "density_g_cm3": 3.236, "e_form_ev_per_atom": 0.09, "final_energy_ha_per_atom": -0.0945, "spacegroup": "No. 38", "lattice": [[4.824, 0.000, 0.000], [0.000, 6.284, 0.000], [0.000, 0.000, 11.669]], "species": ["Ce", "Ce", "Mg", "Mg", "Mg", "Mg", "Mg", "Mg", "Mg", "Mg", "Mg", "Mg", "Mg", "Mg", "Ni", "Ni"], "fractional_positions": [[0.000, 0.000, 0.000], [0.000, 0.500, 0.500], [0.000, 0.000, 0.463], [0.000, 0.245, 0.230], [0.000, 0.255, 0.730], [0.000, 0.500, 0.963], [0.000, 0.745, 0.730], [0.000, 0.755, 0.230], [0.500, 0.000, 0.624], [0.500, 0.244, 0.369], [0.500, 0.256, 0.869], [0.500, 0.500, 0.124], [0.500, 0.744, 0.869], [0.500, 0.756, 0.369], [0.500, 0.000, 0.141], [0.500, 0.500, 0.641]]}

{"formula": "CeMg2Ni9", "functional": "PBE", "state": "relaxed", "density_g_cm3": 7.418, "e_form_ev_per_atom": -0.29, "final_energy_ha_per_atom": -0.1978, "spacegroup": "No. 166", "lattice": [[2.422, 1.398, 7.901], [-2.422, 1.398, 7.901], [0.000, -2.796, 7.901]], "species": ["Ce", "Mg", "Mg", "Ni", "Ni", "Ni", "Ni", "Ni", "Ni", "Ni", "Ni", "Ni"], "fractional_positions": [[0.000, 0.000, 0.000], [0.145, 0.145, 0.145], [0.855, 0.855, 0.855], [0.082, 0.586, 0.586], [0.334, 0.334, 0.334], [0.414, 0.414, 0.918], [0.414, 0.918, 0.414], [0.500, 0.500, 0.500], [0.586, 0.082, 0.586], [0.586, 0.586, 0.082], [0.666, 0.666, 0.666], [0.918, 0.414, 0.414]]}

{"formula": "CeMg6Ni", "functional": "PBE", "state": "relaxed", "density_g_cm3": 3.174, "e_form_ev_per_atom": 0.06, "final_energy_ha_per_atom": -0.0956, "spacegroup": "No. 38", "lattice": [[4.876, 0.000, 0.000], [0.000, 5.761, 0.000], [0.000, 0.000, 12.836]], "species": ["Ce", "Ce", "Mg", "Mg", "Mg", "Mg", "Mg", "Mg", "Mg", "Mg", "Mg", "Mg", "Mg", "Mg", "Ni", "Ni"], "fractional_positions": [[0.000, 0.000, 0.000], [0.000, 0.500, 0.500], [0.000, 0.249, 0.246], [0.000, 0.251, 0.746], [0.000, 0.749, 0.746], [0.000, 0.751, 0.246], [0.500, 0.000, 0.159], [0.500, 0.000, 0.589], [0.500, 0.246, 0.382], [0.500, 0.254, 0.882], [0.500, 0.500, 0.089], [0.500, 0.500, 0.659], [0.500, 0.746, 0.882], [0.500, 0.754, 0.382], [0.000, 0.000, 0.433], [0.000, 0.500, 0.933]]}

{"formula": "CeMg3O4", "functional": "PBE", "state": "relaxed", "energy_mp2020_ev_per_atom": -6.451, "density_g_cm3": 4.484, "e_form_ev_per_atom": -2.64, "final_energy_ha_per_atom": -0.2245, "spacegroup": "No. 221", "lattice": [[4.681, 0.000, 0.000], [0.000, 4.681, 0.000], [0.000, 0.000, 4.681]], "species": ["Ce", "Mg", "Mg", "Mg", "O", "O", "O", "O"], "fractional_positions": [[0.000, 0.000, 0.000], [0.000, 0.500, 0.500], [0.500, 0.000, 0.500], [0.500, 0.500, 0.000], [0.000, 0.000, 0.500], [0.000, 0.500, 0.000], [0.500, 0.000, 0.000], [0.500, 0.500, 0.500]]}

{"formula": "RbCeMg14O16", "functional": "PBE", "state": "relaxed", "energy_mp2020_ev_per_atom": -6.152, "density_g_cm3": 3.801, "e_form_ev_per_atom": -2.76, "final_energy_ha_per_atom": -0.2135, "spacegroup": "No. 47", "lattice": [[4.551, 0.000, 0.000], [0.000, 8.800, 0.000], [0.000, 0.000, 8.965]], "species": ["Rb", "Ce", "Mg", "Mg", "Mg", "Mg", "Mg", "Mg", "Mg", "Mg", "Mg", "Mg", "Mg", "Mg", "Mg", "Mg", "O", "O", "O", "O", "O", "O", "O", "O", "O", "O", "O", "O", "O", "O", "O", "O"], "fractional_positions": [[0.000, 0.000, 0.000], [0.000, 0.000, 0.500], [0.000, 0.265, 0.241], [0.000, 0.265, 0.759], [0.000, 0.500, 0.000], [0.000, 0.500, 0.500], [0.000, 0.735, 0.241], [0.000, 0.735, 0.759], [0.500, 0.000, 0.234], [0.500, 0.000, 0.766], [0.500, 0.257, 0.000], [0.500, 0.267, 0.500], [0.500, 0.500, 0.247], [0.500, 0.500, 0.753], [0.500, 0.733, 0.500], [0.500, 0.743, 0.000], [0.000, 0.000, 0.264], [0.000, 0.000, 0.736], [0.000, 0.268, 0.500], [0.000, 0.282, 0.000], [0.000, 0.500, 0.255], [0.000, 0.500, 0.745], [0.000, 0.718, 0.000], [0.000, 0.732, 0.500], [0.500, 0.000, 0.000], [0.500, 0.000, 0.500], [0.500, 0.250, 0.250], [0.500, 0.250, 0.750], [0.500, 0.500, 0.000], [0.500, 0.500, 0.500], [0.500, 0.750, 0.250], [0.500, 0.750, 0.750]]}

{"formula": "Ce2MgTi4O12", "functional": "PBE", "state": "relaxed", "energy_mp2020_ev_per_atom": -9.039, "density_g_cm3": 4.918, "e_form_ev_per_atom": -3.54, "final_energy_ha_per_atom": -0.3162, "spacegroup": "No. 5", "lattice": [[5.553, -4.412, 0.000], [5.553, 4.412, 0.000], [-2.129, 0.000, 4.741]], "species": ["Ce", "Ce", "Mg", "Ti", "Ti", "Ti", "Ti", "O", "O", "O", "O", "O", "O", "O", "O", "O", "O", "O", "O"], "fractional_positions": [[0.000, 0.000, 0.000], [0.628, 0.372, 0.500], [0.387, 0.613, 0.000], [0.009, 0.534, 0.304], [0.141, 0.332, 0.770], [0.466, 0.991, 0.696], [0.668, 0.859, 0.230], [0.106, 0.624, 0.708], [0.211, 0.060, 0.780], [0.259, 0.472, 0.191], [0.376, 0.894, 0.292], [0.413, 0.310, 0.725], [0.528, 0.741, 0.809], [0.635, 0.092, 0.105], [0.690, 0.587, 0.275], [0.720, 0.009, 0.615], [0.908, 0.365, 0.895], [0.940, 0.789, 0.220], [0.991, 0.280, 0.385]]}

{"formula": "Ce2MgTi4O12", "functional": "PBE", "state": "relaxed", "energy_mp2020_ev_per_atom": -9.030, "density_g_cm3": 4.594, "e_form_ev_per_atom": -3.53, "final_energy_ha_per_atom": -0.3159, "spacegroup": "No. 2", "lattice": [[5.179, 0.000, 0.000], [1.989, 6.351, 0.000], [1.688, 1.387, 7.560]], "species": ["Ce", "Ce", "Mg", "Ti", "Ti", "Ti", "Ti", "O", "O", "O", "O", "O", "O", "O", "O", "O", "O", "O", "O"], "fractional_positions": [[0.169, 0.204, 0.338], [0.831, 0.796, 0.662], [0.500, 0.000, 0.000], [0.012, 0.817, 0.161], [0.486, 0.344, 0.667], [0.514, 0.656, 0.333], [0.988, 0.183, 0.839], [0.089, 0.122, 0.075], [0.094, 0.444, 0.747], [0.111, 0.837, 0.392], [0.393, 0.707, 0.105], [0.402, 0.051, 0.746], [0.452, 0.373, 0.415], [0.548, 0.627, 0.585], [0.598, 0.949, 0.254], [0.607, 0.293, 0.895], [0.889, 0.163, 0.608], [0.906, 0.556, 0.253], [0.911, 0.878, 0.925]]}

{"formula": "Ce2MgTi4O12", "functional": "PBE", "state": "relaxed", "energy_mp2020_ev_per_atom": -9.031, "density_g_cm3": 4.755, "e_form_ev_per_atom": -3.54, "final_energy_ha_per_atom": -0.3159, "spacegroup": "No. 1", "lattice": [[5.136, 0.000, 0.000], [2.243, 6.424, 0.000], [1.944, 0.992, 7.282]], "species": ["Ce", "Ce", "Mg", "Ti", "Ti", "Ti", "Ti", "O", "O", "O", "O", "O", "O", "O", "O", "O", "O", "O", "O"], "fractional_positions": [[0.000, 0.000, 0.000], [0.415, 0.374, 0.686], [0.980, 0.639, 0.384], [0.195, 0.315, 0.182], [0.228, 0.012, 0.507], [0.651, 0.539, 0.050], [0.721, 0.839, 0.701], [0.069, 0.351, 0.956], [0.117, 0.726, 0.578], [0.141, 0.046, 0.263], [0.227, 0.314, 0.442], [0.255, 0.636, 0.137], [0.337, 0.027, 0.745], [0.577, 0.259, 0.060], [0.618, 0.867, 0.456], [0.639, 0.574, 0.772], [0.734, 0.802, 0.961], [0.793, 0.490, 0.264], [0.840, 0.098, 0.670]]}

{"formula": "Ce4MgTi2O10", "functional": "PBE", "state": "relaxed", "energy_mp2020_ev_per_atom": -8.680, "density_g_cm3": 6.066, "e_form_ev_per_atom": -3.35, "final_energy_ha_per_atom": -0.3041, "spacegroup": "No. 1", "lattice": [[5.497, 0.000, 0.000], [2.004, 6.018, 0.000], [1.478, 2.326, 6.954]], "species": ["Ce", "Ce", "Ce", "Ce", "Mg", "Ti", "Ti", "O", "O", "O", "O", "O", "O", "O", "O", "O", "O"], "fractional_positions": [[0.000, 0.000, 0.000], [0.026, 0.110, 0.464], [0.164, 0.491, 0.943], [0.855, 0.621, 0.523], [0.517, 0.062, 0.232], [0.509, 0.559, 0.233], [0.512, 0.058, 0.732], [0.121, 0.274, 0.714], [0.210, 0.824, 0.306], [0.262, 0.366, 0.259], [0.404, 0.744, 0.947], [0.502, 0.939, 0.522], [0.519, 0.175, 0.943], [0.619, 0.367, 0.519], [0.757, 0.749, 0.206], [0.810, 0.284, 0.161], [0.901, 0.840, 0.751]]}